No. 1
Here is a relaxed K2BiMoPO8 crystal from the Materials Project. Energies are from PBE with a Hubbard U.

The structure in POSCAR format:
```
K2BiMoPO8
1.0
-2.129 -2.693 11.868
-11.756 -3.636 1.100
11.131 -2.478 -4.752
O K Mo Bi P
32 8 4 4 4
direct
0.100 0.586 0.920
0.080 0.778 0.422
0.600 0.680 0.514
0.580 0.158 0.302
0.061 0.285 0.223
0.666 0.086 0.986
0.640 0.407 0.069
0.939 0.715 0.777
0.356 0.278 0.198
0.338 0.907 0.267
0.838 0.571 0.431
0.644 0.722 0.802
0.920 0.222 0.578
0.062 0.785 0.724
0.900 0.414 0.080
0.360 0.593 0.931
0.144 0.342 0.922
0.561 0.338 0.776
0.334 0.914 0.014
0.438 0.162 0.723
0.834 0.820 0.420
0.860 0.929 0.767
0.662 0.093 0.733
0.400 0.320 0.486
0.140 0.071 0.233
0.166 0.180 0.580
0.938 0.215 0.276
0.856 0.658 0.078
0.420 0.842 0.698
0.562 0.838 0.277
0.439 0.662 0.224
0.162 0.429 0.569
0.235 0.623 0.546
0.576 0.688 0.954
0.424 0.312 0.046
0.076 0.123 0.888
0.765 0.377 0.454
0.265 0.812 0.388
0.735 0.188 0.612
0.924 0.877 0.112
0.082 0.332 0.750
0.418 0.168 0.250
0.918 0.668 0.250
0.582 0.832 0.750
0.830 0.250 0.080
0.330 0.250 0.580
0.170 0.750 0.920
0.670 0.750 0.420
0.927 0.750 0.677
0.073 0.250 0.323
0.573 0.250 0.823
0.427 0.750 0.177
```

---

No. 2
Here is a relaxed K2BiPWO8 crystal from the Materials Project. Energies are from PBE with a Hubbard U.

The structure in POSCAR format:
```
K2BiPWO8
1.0
10.535 5.217 3.866
-2.646 7.580 9.418
0.284 -11.688 -4.058
O K W Bi P
32 8 4 4 4
direct
0.418 0.218 0.075
0.582 0.782 0.925
0.439 0.215 0.776
0.140 0.407 0.569
0.401 0.413 0.580
0.333 0.821 0.920
0.338 0.571 0.931
0.360 0.929 0.267
0.167 0.087 0.489
0.939 0.662 0.724
0.644 0.344 0.425
0.144 0.718 0.300
0.356 0.656 0.575
0.439 0.715 0.276
0.099 0.679 0.011
0.918 0.844 0.200
0.561 0.785 0.224
0.061 0.338 0.276
0.833 0.913 0.511
0.856 0.282 0.700
0.901 0.321 0.989
0.082 0.156 0.800
0.162 0.093 0.233
0.939 0.162 0.224
0.860 0.593 0.431
0.640 0.071 0.733
0.061 0.838 0.776
0.599 0.587 0.420
0.838 0.907 0.767
0.561 0.285 0.724
0.667 0.179 0.080
0.662 0.429 0.069
0.766 0.812 0.890
0.234 0.188 0.110
0.578 0.124 0.390
0.266 0.376 0.954
0.422 0.876 0.610
0.734 0.624 0.046
0.922 0.312 0.546
0.078 0.688 0.454
0.918 0.168 0.750
0.418 0.668 0.750
0.582 0.332 0.250
0.082 0.832 0.250
0.330 0.250 0.580
0.170 0.750 0.920
0.670 0.750 0.420
0.830 0.250 0.080
0.573 0.250 0.823
0.073 0.250 0.323
0.427 0.750 0.177
0.927 0.750 0.677
```

---

No. 3
Here is a relaxed KSrBiWO6 crystal from the Materials Project. Energies are from PBE with a Hubbard U.

The structure in POSCAR format:
```
KSrBiWO6
1.0
0.000 -4.272 -4.272
4.272 0.000 -4.272
4.272 -4.272 0.000
O K Bi Sr W
6 1 1 1 1
direct
0.272 0.728 0.728
0.728 0.272 0.728
0.272 0.272 0.728
0.728 0.728 0.272
0.728 0.272 0.272
0.272 0.728 0.272
0.750 0.750 0.750
0.000 0.000 0.000
0.250 0.250 0.250
0.500 0.500 0.500
```

---

Values of mass density, in order: 3.996; 4.625; 6.553, all in g/cm³.
Values of total DFT energy (no corrections), in order: -6.43; -6.52; -6.37, all in eV/atom.
Values of energy relative to the elements, in order: -30.271; -30.658; -22.915, all in eV/f.u..